First-principles (meta-GGA r2SCAN) data for a geometry-optimized LiV2N3 structure, as listed in the Materials Project database.

Values from the calculation:
Crystal system: orthorhombic
ΔE_f, eV/atom: -1.137
SG: Cmc2_1

The structure in extended XYZ format:
```
12
Lattice="5.001 -2.952 0.000 5.001 2.952 0.000 0.000 0.000 4.087" Properties=species:S:1:pos:R:3 pbc="T T T"
Li 5.001 2.057 2.044
Li 5.001 -2.057 0.000
V 3.353 0.948 4.080
V 3.353 -0.948 2.036
V 6.649 0.948 4.080
V 6.649 -0.948 2.036
N 3.234 0.946 2.036
N 5.001 1.718 4.081
N 3.234 -0.946 4.080
N 6.769 0.946 2.036
N 5.001 -1.718 2.037
N 6.769 -0.946 4.080
```